No. 1
Here is a relaxed KGaTe6O14 crystal from the Materials Project database. Energies are from GGA-PBE.

Computed properties:
Symmetry: Pa-3 (205)
DFT formation energy, eV per atom: -1.65
Final energy, Ry per atom: -0.397
Calculated density, kg/m³: 5374
Magnetic moment, μB per formula unit: 0.00
MP2020-corrected energy, eV/atom: -5.84

Unit cell a=11.073 b=11.073 c=11.073 alpha=90.00 beta=90.00 gamma=90.00
Atoms (fractional coordinates):
K  0.500  0.500  0.000
K  0.000  0.500  0.500
K  0.000  0.000  0.000
K  0.500  0.000  0.500
Ga  0.000  0.000  0.500
Ga  0.500  0.500  0.500
Ga  0.500  0.000  0.000
Ga  0.000  0.500  0.000
Te  0.991  0.735  0.772
Te  0.491  0.735  0.728
Te  0.765  0.272  0.991
Te  0.265  0.228  0.009
Te  0.735  0.772  0.991
Te  0.735  0.728  0.491
Te  0.272  0.991  0.765
Te  0.772  0.991  0.735
Te  0.228  0.009  0.265
Te  0.991  0.765  0.272
Te  0.772  0.509  0.235
Te  0.009  0.235  0.728
Te  0.728  0.491  0.735
Te  0.265  0.272  0.509
Te  0.235  0.728  0.009
Te  0.272  0.509  0.265
Te  0.491  0.765  0.228
Te  0.728  0.009  0.235
Te  0.228  0.491  0.765
Te  0.509  0.265  0.272
Te  0.765  0.228  0.491
Te  0.509  0.235  0.772
Te  0.009  0.265  0.228
Te  0.235  0.772  0.509
O  0.877  0.389  0.307
O  0.623  0.611  0.807
O  0.125  0.432  0.887
O  0.111  0.807  0.877
O  0.623  0.889  0.307
O  0.123  0.889  0.193
O  0.432  0.613  0.625
O  0.377  0.111  0.693
O  0.625  0.432  0.613
O  0.068  0.113  0.625
O  0.307  0.877  0.389
O  0.887  0.125  0.432
O  0.148  0.148  0.148
O  0.389  0.307  0.877
O  0.875  0.568  0.113
O  0.875  0.932  0.613
O  0.889  0.307  0.623
O  0.568  0.387  0.375
O  0.068  0.387  0.125
O  0.852  0.648  0.352
O  0.375  0.932  0.887
O  0.932  0.887  0.375
O  0.148  0.352  0.648
O  0.432  0.887  0.125
O  0.377  0.389  0.193
O  0.123  0.611  0.693
O  0.568  0.113  0.875
O  0.389  0.193  0.377
O  0.807  0.877  0.111
O  0.193  0.377  0.389
O  0.375  0.568  0.387
O  0.111  0.693  0.377
O  0.852  0.852  0.852
O  0.889  0.193  0.123
O  0.125  0.068  0.387
O  0.693  0.377  0.111
O  0.648  0.352  0.852
O  0.113  0.875  0.568
O  0.193  0.123  0.889
O  0.611  0.807  0.623
O  0.307  0.623  0.889
O  0.932  0.613  0.875
O  0.611  0.693  0.123
O  0.113  0.625  0.068
O  0.613  0.625  0.432
O  0.693  0.123  0.611
O  0.807  0.623  0.611
O  0.352  0.852  0.648
O  0.877  0.111  0.807
O  0.613  0.875  0.932
O  0.887  0.375  0.932
O  0.648  0.148  0.352
O  0.352  0.648  0.148
O  0.625  0.068  0.113
O  0.387  0.125  0.068
O  0.387  0.375  0.568

---

No. 2
Here is a relaxed K3GaTe2O11 crystal from the Materials Project database. Energies are from GGA-PBE.

Computed properties:
Symmetry: P-1 (2)
DFT formation energy, eV per atom: -1.48
Final energy, Ry per atom: -0.366
Calculated density, kg/m³: 3854
Magnetic moment, μB per formula unit: 3.99
MP2020-corrected energy, eV/atom: -5.42

Unit cell a=7.349 b=7.396 c=11.482 alpha=77.35 beta=81.65 gamma=61.13
Atoms (fractional coordinates):
K  0.869  0.567  0.834
K  0.131  0.433  0.166
K  0.420  0.502  0.835
K  0.580  0.498  0.165
K  0.584  0.834  0.382
K  0.416  0.166  0.618
Ga  0.954  0.052  0.749
Ga  0.046  0.948  0.251
Te  0.114  0.757  0.537
Te  0.886  0.243  0.463
Te  0.786  0.991  0.027
Te  0.214  0.009  0.973
O  0.829  0.994  0.497
O  0.171  0.006  0.503
O  0.015  0.550  0.583
O  0.985  0.450  0.417
O  0.820  0.274  0.628
O  0.180  0.726  0.372
O  0.062  0.787  0.707
O  0.938  0.213  0.293
O  0.398  0.563  0.582
O  0.602  0.437  0.418
O  0.906  0.191  0.018
O  0.094  0.809  0.982
O  0.150  0.102  0.803
O  0.850  0.898  0.197
O  0.741  0.752  0.041
O  0.259  0.248  0.959
O  0.731  0.084  0.858
O  0.269  0.916  0.142
O  0.516  0.205  0.069
O  0.484  0.795  0.931
O  0.375  0.304  0.370
O  0.625  0.696  0.630

---

No. 3
Here is a relaxed KGaS2 crystal from the Materials Project database. Energies are from GGA-PBE.

Computed properties:
Symmetry: C2/c (15)
DFT formation energy, eV per atom: -1.30
Final energy, Ry per atom: -0.305
Calculated density, kg/m³: 2779
MP2020-corrected energy, eV/atom: -4.40

Unit cell a=7.478 b=7.478 c=15.023 alpha=82.84 beta=82.84 gamma=89.98
Atoms (fractional coordinates):
K  0.654  0.777  0.889
K  0.223  0.346  0.611
K  0.152  0.774  0.891
K  0.774  0.152  0.391
K  0.226  0.848  0.609
K  0.848  0.226  0.109
K  0.777  0.654  0.389
K  0.346  0.223  0.111
Ga  0.912  0.289  0.836
Ga  0.289  0.912  0.336
Ga  0.290  0.418  0.337
Ga  0.418  0.290  0.837
Ga  0.710  0.582  0.663
Ga  0.582  0.710  0.163
Ga  0.088  0.711  0.164
Ga  0.711  0.088  0.664
S  0.432  0.056  0.751
S  0.056  0.432  0.251
S  0.642  0.265  0.931
S  0.265  0.642  0.431
S  0.944  0.568  0.749
S  0.568  0.944  0.249
S  0.268  0.141  0.428
S  0.141  0.268  0.928
S  0.568  0.432  0.250
S  0.432  0.568  0.750
S  0.735  0.358  0.569
S  0.943  0.057  0.750
S  0.859  0.732  0.072
S  0.732  0.859  0.572
S  0.057  0.943  0.250
S  0.358  0.735  0.069

---

No. 4
Here is a relaxed K30Ga9Sb19 crystal from the Materials Project database. Energies are from GGA-PBE.

Computed properties:
Symmetry: R-3 (148)
DFT formation energy, eV per atom: -0.50
Final energy, Ry per atom: -0.209
Calculated density, kg/m³: 2930
Magnetic moment, μB per formula unit: 0.00
MP2020-corrected energy, eV/atom: -2.90

Unit cell a=16.489 b=18.890 c=18.889 alpha=111.90 beta=106.92 gamma=106.92
Atoms (fractional coordinates):
K  0.750  0.333  0.667
K  0.417  0.333  0.667
K  0.083  0.333  0.667
K  0.917  0.667  0.333
K  0.583  0.667  0.333
K  0.250  0.667  0.333
K  0.588  0.120  0.393
K  0.255  0.121  0.394
K  0.922  0.120  0.393
K  0.801  0.273  0.880
K  0.467  0.273  0.880
K  0.134  0.273  0.880
K  0.861  0.606  0.727
K  0.528  0.607  0.727
K  0.195  0.607  0.727
K  0.079  0.880  0.607
K  0.745  0.880  0.607
K  0.412  0.879  0.606
K  0.865  0.727  0.120
K  0.532  0.727  0.120
K  0.199  0.727  0.120
K  0.806  0.394  0.273
K  0.472  0.393  0.273
K  0.138  0.393  0.273
K  0.695  0.006  0.817
K  0.354  0.006  0.817
K  0.023  0.006  0.812
K  0.017  0.806  0.994
K  0.689  0.811  0.994
K  0.347  0.811  0.994
K  0.537  0.183  0.189
K  0.210  0.187  0.194
K  0.879  0.183  0.189
K  0.971  0.994  0.183
K  0.644  0.994  0.188
K  0.313  0.994  0.183
K  0.650  0.194  0.006
K  0.319  0.189  0.006
K  0.978  0.189  0.006
K  0.130  0.817  0.811
K  0.788  0.817  0.811
K  0.456  0.813  0.806
K  0.976  0.066  0.613
K  0.310  0.066  0.614
K  0.643  0.066  0.614
K  0.244  0.548  0.934
K  0.578  0.548  0.934
K  0.911  0.548  0.934
K  0.029  0.386  0.452
K  0.363  0.387  0.452
K  0.696  0.386  0.452
K  0.357  0.934  0.386
K  0.690  0.934  0.387
K  0.023  0.934  0.386
K  0.089  0.452  0.066
K  0.423  0.452  0.066
K  0.756  0.452  0.066
K  0.304  0.613  0.548
K  0.637  0.614  0.548
K  0.971  0.614  0.548
Ga  0.768  0.777  0.280
Ga  0.437  0.777  0.280
Ga  0.102  0.777  0.280
Ga  0.660  0.504  0.223
Ga  0.325  0.503  0.223
Ga  0.991  0.503  0.223
Ga  0.823  0.720  0.497
Ga  0.488  0.720  0.497
Ga  0.156  0.720  0.496
Ga  0.899  0.223  0.720
Ga  0.564  0.223  0.720
Ga  0.230  0.223  0.720
Ga  0.007  0.496  0.777
Ga  0.675  0.497  0.777
Ga  0.341  0.497  0.777
Ga  0.844  0.280  0.503
Ga  0.510  0.280  0.504
Ga  0.179  0.280  0.503
Sb  0.787  0.887  0.228
Sb  0.456  0.887  0.228
Sb  0.122  0.888  0.227
Sb  0.569  0.341  0.113
Sb  0.234  0.340  0.112
Sb  0.900  0.341  0.113
Sb  0.894  0.773  0.660
Sb  0.559  0.772  0.659
Sb  0.228  0.772  0.659
Sb  0.879  0.113  0.772
Sb  0.545  0.112  0.773
Sb  0.211  0.113  0.772
Sb  0.098  0.659  0.887
Sb  0.766  0.659  0.887
Sb  0.433  0.660  0.888
Sb  0.772  0.227  0.340
Sb  0.439  0.228  0.341
Sb  0.107  0.228  0.341
Sb  0.846  0.838  0.449
Sb  0.512  0.838  0.449
Sb  0.179  0.838  0.449
Sb  0.674  0.611  0.162
Sb  0.341  0.611  0.162
Sb  0.008  0.611  0.162
Sb  0.730  0.551  0.389
Sb  0.397  0.551  0.389
Sb  0.063  0.551  0.389
Sb  0.821  0.162  0.551
Sb  0.488  0.162  0.551
Sb  0.154  0.162  0.551
Sb  0.992  0.389  0.838
Sb  0.659  0.389  0.838
Sb  0.326  0.389  0.838
Sb  0.936  0.449  0.611
Sb  0.604  0.449  0.611
Sb  0.270  0.449  0.611
Sb  0.833  0.000  0.000
Sb  0.333  0.000  0.000

---

No. 5
Here is a relaxed KGaSb2 crystal from the Materials Project database. Energies are from GGA-PBE.

Computed properties:
Symmetry: Cmce (64)
DFT formation energy, eV per atom: -0.42
Final energy, Ry per atom: -0.252
Calculated density, kg/m³: 4334
MP2020-corrected energy, eV/atom: -3.52

Unit cell a=9.976 b=9.976 c=30.084 alpha=90.00 beta=90.00 gamma=133.83
Atoms (fractional coordinates):
K  0.281  0.281  0.000
K  0.219  0.219  0.500
K  0.719  0.719  0.000
K  0.781  0.781  0.500
K  0.343  0.657  0.194
K  0.657  0.343  0.806
K  0.157  0.843  0.694
K  0.843  0.157  0.306
K  0.202  0.798  0.011
K  0.798  0.202  0.989
K  0.298  0.702  0.511
K  0.702  0.298  0.489
K  0.652  0.848  0.750
K  0.848  0.652  0.250
K  0.348  0.152  0.250
K  0.152  0.348  0.750
Ga  0.450  0.994  0.375
Ga  0.994  0.450  0.625
Ga  0.050  0.506  0.875
Ga  0.506  0.050  0.125
Ga  0.550  0.006  0.625
Ga  0.006  0.550  0.375
Ga  0.950  0.494  0.125
Ga  0.494  0.950  0.875
Ga  0.734  0.811  0.130
Ga  0.811  0.734  0.870
Ga  0.766  0.689  0.630
Ga  0.689  0.766  0.370
Ga  0.266  0.189  0.870
Ga  0.189  0.266  0.130
Ga  0.234  0.311  0.370
Ga  0.311  0.234  0.630
Sb  0.848  0.152  0.846
Sb  0.152  0.848  0.154
Sb  0.652  0.348  0.346
Sb  0.348  0.652  0.654
Sb  0.265  0.735  0.308
Sb  0.735  0.265  0.692
Sb  0.235  0.765  0.808
Sb  0.765  0.235  0.192
Sb  0.453  0.547  0.585
Sb  0.547  0.453  0.415
Sb  0.047  0.953  0.085
Sb  0.953  0.047  0.915
Sb  0.138  0.862  0.421
Sb  0.862  0.138  0.579
Sb  0.362  0.638  0.921
Sb  0.638  0.362  0.079
Sb  0.957  0.043  0.655
Sb  0.043  0.957  0.345
Sb  0.543  0.457  0.155
Sb  0.457  0.543  0.845
Sb  0.421  0.579  0.305
Sb  0.579  0.421  0.695
Sb  0.079  0.921  0.805
Sb  0.921  0.079  0.195
Sb  0.336  0.031  0.576
Sb  0.031  0.336  0.424
Sb  0.164  0.469  0.076
Sb  0.469  0.164  0.924
Sb  0.664  0.969  0.424
Sb  0.969  0.664  0.576
Sb  0.836  0.531  0.924
Sb  0.531  0.836  0.076

---

No. 6
Here is a relaxed K5GaSe4 crystal from the Materials Project database. Energies are from GGA-PBE.

Computed properties:
Symmetry: Pbca (61)
DFT formation energy, eV per atom: -1.28
Final energy, Ry per atom: -0.246
Calculated density, kg/m³: 2909
Magnetic moment, μB per formula unit: 0.00
MP2020-corrected energy, eV/atom: -3.54

Unit cell a=12.782 b=13.047 c=15.909 alpha=90.00 beta=90.00 gamma=90.00
Atoms (fractional coordinates):
K  0.054  0.340  0.278
K  0.554  0.160  0.722
K  0.946  0.840  0.222
K  0.446  0.660  0.778
K  0.946  0.660  0.722
K  0.446  0.840  0.278
K  0.054  0.160  0.778
K  0.554  0.340  0.222
K  0.387  0.014  0.059
K  0.887  0.486  0.941
K  0.613  0.514  0.441
K  0.113  0.986  0.559
K  0.613  0.986  0.941
K  0.113  0.514  0.059
K  0.387  0.486  0.559
K  0.887  0.014  0.441
K  0.059  0.070  0.109
K  0.559  0.430  0.891
K  0.941  0.570  0.391
K  0.441  0.930  0.609
K  0.941  0.930  0.891
K  0.441  0.570  0.109
K  0.059  0.430  0.609
K  0.559  0.070  0.391
K  0.180  0.647  0.268
K  0.680  0.853  0.732
K  0.820  0.147  0.232
K  0.320  0.353  0.768
K  0.820  0.353  0.732
K  0.320  0.147  0.268
K  0.180  0.853  0.768
K  0.680  0.647  0.232
K  0.272  0.789  0.985
K  0.772  0.711  0.015
K  0.728  0.289  0.515
K  0.228  0.211  0.485
K  0.728  0.211  0.015
K  0.228  0.289  0.985
K  0.272  0.711  0.485
K  0.772  0.789  0.515
Ga  0.165  0.935  0.336
Ga  0.665  0.565  0.664
Ga  0.835  0.435  0.164
Ga  0.335  0.065  0.836
Ga  0.835  0.065  0.664
Ga  0.335  0.435  0.336
Ga  0.165  0.565  0.836
Ga  0.665  0.935  0.164
Se  0.070  0.098  0.322
Se  0.570  0.402  0.678
Se  0.930  0.598  0.178
Se  0.430  0.902  0.822
Se  0.930  0.902  0.678
Se  0.430  0.598  0.322
Se  0.070  0.402  0.822
Se  0.570  0.098  0.178
Se  0.319  0.965  0.427
Se  0.819  0.535  0.573
Se  0.681  0.465  0.073
Se  0.181  0.035  0.927
Se  0.681  0.035  0.573
Se  0.181  0.465  0.427
Se  0.319  0.535  0.927
Se  0.819  0.965  0.073
Se  0.214  0.885  0.191
Se  0.714  0.615  0.809
Se  0.786  0.385  0.309
Se  0.286  0.115  0.691
Se  0.786  0.115  0.809
Se  0.286  0.385  0.191
Se  0.214  0.615  0.691
Se  0.714  0.885  0.309
Se  0.054  0.808  0.409
Se  0.554  0.692  0.591
Se  0.946  0.308  0.091
Se  0.446  0.192  0.909
Se  0.946  0.192  0.591
Se  0.446  0.308  0.409
Se  0.054  0.692  0.909
Se  0.554  0.808  0.091